# Mg14CuNiO16

Crystalline Mg14CuNiO16 at its relaxed geometry (PBE+U, Materials Project).

CIF file:
```
data_Mg14CuNiO16
_chemical_formula_sum 'Mg14 Cu1 Ni1 O16'
_cell_length_a 8.5209
_cell_length_b 8.5209
_cell_length_c 4.2444
_cell_angle_alpha 90.00
_cell_angle_beta 90.00
_cell_angle_gamma 90.00
_symmetry_space_group_name_H-M 'P 4/m m m'
_symmetry_Int_Tables_number 123
_symmetry_space_group_name_Hall '-P 4 2'
loop_
_atom_site_label
_atom_site_fract_x
_atom_site_fract_y
_atom_site_fract_z
Mg1 0.0000 0.2487 0.0000
Mg2 0.0000 0.5000 0.5000
Mg3 0.2501 0.2501 0.5000
Mg4 0.2502 0.5000 0.0000
Cu1 0.5000 0.5000 0.5000
Ni1 0.0000 0.0000 0.5000
O1 0.0000 0.0000 0.0000
O2 0.0000 0.2504 0.5000
O3 0.0000 0.5000 0.0000
O4 0.2460 0.5000 0.5000
O5 0.2504 0.2504 0.0000
O6 0.5000 0.5000 0.0000
```

## Properties
ΔE to the lowest computed polymorph: 0.000 eV/atom
Formation energy: -2784 meV/atom
Energy with MP2020 corrections: -6.266 eV per atom
Energy: -186.993 eV for the cell shown


# Y2MgCr3O9

Crystalline Y2MgCr3O9 at its relaxed geometry (PBE+U, Materials Project).

CIF file:
```
data_Y2MgCr3O9
_chemical_formula_sum 'Y2 Mg1 Cr3 O9'
_cell_length_a 3.8752
_cell_length_b 3.8752
_cell_length_c 13.0155
_cell_angle_alpha 90.00
_cell_angle_beta 90.00
_cell_angle_gamma 90.00
_symmetry_space_group_name_H-M 'P 4/m m m'
_symmetry_Int_Tables_number 123
_symmetry_space_group_name_Hall '-P 4 2'
loop_
_atom_site_label
_atom_site_fract_x
_atom_site_fract_y
_atom_site_fract_z
Y1 0.0000 0.0000 0.2381
Mg1 0.0000 0.0000 0.0000
Cr1 0.5000 0.5000 0.0000
Cr2 0.5000 0.5000 0.3612
O1 0.0000 0.5000 0.0000
O2 0.0000 0.5000 0.3285
O3 0.5000 0.5000 0.1679
O4 0.5000 0.5000 0.5000
```

## Properties
ΔE to the lowest computed polymorph: 0.094 eV/atom
Formation energy: -2506 meV/atom
Energy with MP2020 corrections: -8.374 eV per atom
Energy: -113.430 eV for the cell shown


# Li9Mn7O16

Crystalline Li9Mn7O16 at its relaxed geometry (PBE+U, Materials Project).

CIF file:
```
data_Li9Mn7O16
_chemical_formula_sum 'Li9 Mn7 O16'
_cell_length_a 5.0969
_cell_length_b 6.0621
_cell_length_c 10.1226
_cell_angle_alpha 93.26
_cell_angle_beta 100.18
_cell_angle_gamma 103.77
_symmetry_space_group_name_H-M 'P -1'
_symmetry_Int_Tables_number 2
_symmetry_space_group_name_Hall '-P 1'
loop_
_atom_site_label
_atom_site_fract_x
_atom_site_fract_y
_atom_site_fract_z
Li1 0.0000 0.0000 0.0000
Li2 0.4880 0.8756 0.1205
Li3 0.4936 0.1229 0.3737
Li4 0.4973 0.3749 0.6242
Li5 0.4981 0.6264 0.8780
Mn1 0.0000 0.0000 0.5000
Mn2 0.0000 0.5000 0.0000
Mn3 0.0000 0.5000 0.5000
Mn4 0.0033 0.2510 0.2460
Mn5 0.0042 0.7586 0.2457
O1 0.2142 0.7763 0.9355
O2 0.2201 0.5570 0.6844
O3 0.2263 0.3210 0.9311
O4 0.2284 0.0607 0.1940
O5 0.2300 0.8218 0.4308
O6 0.2324 0.3246 0.4312
O7 0.2337 0.0728 0.6829
O8 0.2346 0.5764 0.1776
```

## Properties
ΔE to the lowest computed polymorph: 0.012 eV/atom
Formation energy: -2133 meV/atom
Energy with MP2020 corrections: -7.148 eV per atom
Energy: -206.070 eV for the cell shown


# NaCoO3

Crystalline NaCoO3 at its relaxed geometry (PBE+U, Materials Project).

CIF file:
```
data_NaCoO3
_chemical_formula_sum 'Na1 Co1 O3'
_cell_length_a 3.7634
_cell_length_b 3.7634
_cell_length_c 3.7634
_cell_angle_alpha 90.00
_cell_angle_beta 90.00
_cell_angle_gamma 90.00
_symmetry_space_group_name_H-M 'P m -3 m'
_symmetry_Int_Tables_number 221
_symmetry_space_group_name_Hall '-P 4 2 3'
loop_
_atom_site_label
_atom_site_fract_x
_atom_site_fract_y
_atom_site_fract_z
Na1 0.0000 0.0000 0.0000
Co1 0.5000 0.5000 0.5000
O1 0.0000 0.5000 0.5000
```

## Properties
Formation energy: -1068 meV/atom
Energy with MP2020 corrections: -5.723 eV per atom
Energy: -24.917 eV for the cell shown


# NaLiW4O12

Crystalline NaLiW4O12 at its relaxed geometry (PBE+U, Materials Project).

CIF file:
```
data_NaLiW4O12
_chemical_formula_sum 'Na2 Li2 W8 O24'
_cell_length_a 7.7189
_cell_length_b 7.5902
_cell_length_c 7.7005
_cell_angle_alpha 90.00
_cell_angle_beta 90.00
_cell_angle_gamma 90.00
_symmetry_space_group_name_H-M 'A m m 2'
_symmetry_Int_Tables_number 38
_symmetry_space_group_name_Hall 'A 2 -2'
loop_
_atom_site_label
_atom_site_fract_x
_atom_site_fract_y
_atom_site_fract_z
Na1 0.0000 0.0000 0.0000
Li1 0.5000 0.0000 0.5299
W1 0.2509 0.2487 0.2634
O1 0.0000 0.2077 0.2682
O2 0.2118 0.0000 0.7258
O3 0.2474 0.2048 0.0142
O4 0.3016 0.0000 0.3181
O5 0.5000 0.2029 0.7456
```

## Properties
Formation energy: -2171 meV/atom
Energy with MP2020 corrections: -8.529 eV per atom
Energy: -255.058 eV for the cell shown


# Li4Co3Sn3Sb2O16

Crystalline Li4Co3Sn3Sb2O16 at its relaxed geometry (PBE+U, Materials Project).

CIF file:
```
data_Li4Co3Sn3Sb2O16
_chemical_formula_sum 'Li8 Co6 Sn6 Sb4 O32'
_cell_length_a 10.7227
_cell_length_b 6.1778
_cell_length_c 9.8657
_cell_angle_alpha 90.00
_cell_angle_beta 90.56
_cell_angle_gamma 90.00
_symmetry_space_group_name_H-M 'C 1 m 1'
_symmetry_Int_Tables_number 8
_symmetry_space_group_name_Hall 'C -2y'
loop_
_atom_site_label
_atom_site_fract_x
_atom_site_fract_y
_atom_site_fract_z
Li1 0.0000 0.0000 0.0000
Li2 0.0076 0.0000 0.5199
Li3 0.1589 0.5000 0.0873
Li4 0.3235 0.0000 0.6011
Co1 0.0729 0.2587 0.7863
Co2 0.1608 0.0000 0.2847
Sn1 0.3188 0.5000 0.7855
Sn2 0.4044 0.2463 0.2849
Sb1 0.1481 0.5000 0.5196
Sb2 0.3167 0.0000 0.0052
O1 0.0057 0.5000 0.6461
O2 0.0723 0.2526 0.4035
O3 0.1574 0.0000 0.9077
O4 0.1592 0.5000 0.8902
O5 0.2323 0.2803 0.6421
O6 0.2522 0.2217 0.1509
O7 0.3224 0.5000 0.4025
O8 0.3265 0.0000 0.3953
O9 0.4025 0.2458 0.9102
O10 0.4718 0.0000 0.1515
O11 0.4875 0.5000 0.7023
O12 0.4894 0.5000 0.1903
```

## Properties
Formation energy: -1952 meV/atom
Energy with MP2020 corrections: -6.538 eV per atom
Energy: -334.336 eV for the cell shown


# Mg2Mo2O5

Crystalline Mg2Mo2O5 at its relaxed geometry (PBE+U, Materials Project).

CIF file:
```
data_Mg2Mo2O5
_chemical_formula_sum 'Mg4 Mo4 O10'
_cell_length_a 3.3351
_cell_length_b 13.7562
_cell_length_c 5.2172
_cell_angle_alpha 90.00
_cell_angle_beta 90.00
_cell_angle_gamma 90.00
_symmetry_space_group_name_H-M 'P m c 21'
_symmetry_Int_Tables_number 26
_symmetry_space_group_name_Hall 'P 2c -2'
loop_
_atom_site_label
_atom_site_fract_x
_atom_site_fract_y
_atom_site_fract_z
Mg1 0.0000 0.0489 0.0000
Mg2 0.0000 0.4389 0.6414
Mo1 0.5000 0.1703 0.4997
Mo2 0.5000 0.3326 0.1324
O1 0.0000 0.0971 0.6344
O2 0.0000 0.4155 0.0236
O3 0.5000 0.0754 0.1928
O4 0.5000 0.2584 0.8425
O5 0.5000 0.4103 0.4550
```

## Properties
Formation energy: -1875 meV/atom
Energy with MP2020 corrections: -7.390 eV per atom
Energy: -113.338 eV for the cell shown


# YNiO3

Crystalline YNiO3 at its relaxed geometry (PBE+U, Materials Project).

CIF file:
```
data_YNiO3
_chemical_formula_sum 'Y4 Ni4 O12'
_cell_length_a 5.5847
_cell_length_b 7.5022
_cell_length_c 5.2415
_cell_angle_alpha 90.00
_cell_angle_beta 90.00
_cell_angle_gamma 90.00
_symmetry_space_group_name_H-M 'P n m a'
_symmetry_Int_Tables_number 62
_symmetry_space_group_name_Hall '-P 2ac 2n'
loop_
_atom_site_label
_atom_site_fract_x
_atom_site_fract_y
_atom_site_fract_z
Y1 0.0738 0.2500 0.0196
Ni1 0.0000 0.0000 0.5000
O1 0.0317 0.7500 0.3970
O2 0.2012 0.5530 0.8089
```

## Properties
Formation energy: -2474 meV/atom
Energy with MP2020 corrections: -7.892 eV per atom
Energy: -139.439 eV for the cell shown


# Li2TiCr3O8

Crystalline Li2TiCr3O8 at its relaxed geometry (PBE+U, Materials Project).

CIF file:
```
data_Li2TiCr3O8
_chemical_formula_sum 'Li8 Ti4 Cr12 O32'
_cell_length_a 10.3527
_cell_length_b 5.9142
_cell_length_c 10.2848
_cell_angle_alpha 90.00
_cell_angle_beta 109.52
_cell_angle_gamma 90.00
_symmetry_space_group_name_H-M 'C 1 2/c 1'
_symmetry_Int_Tables_number 15
_symmetry_space_group_name_Hall '-C 2yc'
loop_
_atom_site_label
_atom_site_fract_x
_atom_site_fract_y
_atom_site_fract_z
Li1 0.1859 0.2496 0.3123
Ti1 0.0000 0.2457 0.7500
Cr1 0.0000 0.0000 0.0000
Cr2 0.0000 0.5000 0.0000
Cr3 0.2500 0.2500 0.0000
O1 0.1065 0.2591 0.6196
O2 0.1150 0.4789 0.8810
O3 0.1162 0.0268 0.8764
O4 0.1159 0.2595 0.1044
```

## Properties
ΔE to the lowest computed polymorph: 0.000 eV/atom
Formation energy: -2569 meV/atom
Energy with MP2020 corrections: -8.301 eV per atom
Energy: -418.891 eV for the cell shown


# CaEuNbFeO6

Crystalline CaEuNbFeO6 at its relaxed geometry (PBE+U, Materials Project).

CIF file:
```
data_CaEuNbFeO6
_chemical_formula_sum 'Ca4 Eu4 Nb4 Fe4 O24'
_cell_length_a 7.9980
_cell_length_b 7.9980
_cell_length_c 7.9980
_cell_angle_alpha 90.00
_cell_angle_beta 90.00
_cell_angle_gamma 90.00
_symmetry_space_group_name_H-M 'F -4 3 m'
_symmetry_Int_Tables_number 216
_symmetry_space_group_name_Hall 'F -4 2 3'
loop_
_atom_site_label
_atom_site_fract_x
_atom_site_fract_y
_atom_site_fract_z
Ca1 0.0000 0.0000 0.0000
Eu1 0.0000 0.0000 0.5000
Nb1 0.2500 0.2500 0.2500
Fe1 0.2500 0.2500 0.7500
O1 0.9999 0.2500 0.2500
```

## Properties
Formation energy: -2864 meV/atom
Energy with MP2020 corrections: -8.916 eV per atom
Energy: -331.118 eV for the cell shown


# Li2TiMn3O8

Crystalline Li2TiMn3O8 at its relaxed geometry (PBE+U, Materials Project).

CIF file:
```
data_Li2TiMn3O8
_chemical_formula_sum 'Li6 Ti3 Mn9 O24'
_cell_length_a 6.0063
_cell_length_b 6.0063
_cell_length_c 14.4282
_cell_angle_alpha 90.00
_cell_angle_beta 90.00
_cell_angle_gamma 120.00
_symmetry_space_group_name_H-M 'R -3 m'
_symmetry_Int_Tables_number 166
_symmetry_space_group_name_Hall '-R 3 2"'
loop_
_atom_site_label
_atom_site_fract_x
_atom_site_fract_y
_atom_site_fract_z
Li1 0.0000 0.0000 0.1241
Ti1 0.0000 0.0000 0.5000
Mn1 0.0000 0.5000 0.0000
O1 0.0000 0.0000 0.2597
O2 0.0379 0.5190 0.2538
```

## Properties
ΔE to the lowest computed polymorph: 0.039 eV/atom
Formation energy: -2355 meV/atom
Energy with MP2020 corrections: -7.982 eV per atom
Energy: -303.741 eV for the cell shown


# MgVFeP4O14

Crystalline MgVFeP4O14 at its relaxed geometry (PBE+U, Materials Project).

CIF file:
```
data_MgVFeP4O14
_chemical_formula_sum 'Mg1 V1 Fe1 P4 O14'
_cell_length_a 5.0076
_cell_length_b 6.9112
_cell_length_c 8.4313
_cell_angle_alpha 88.78
_cell_angle_beta 87.76
_cell_angle_gamma 71.24
_symmetry_space_group_name_H-M 'P 1'
_symmetry_Int_Tables_number 1
_symmetry_space_group_name_Hall 'P 1'
loop_
_atom_site_label
_atom_site_fract_x
_atom_site_fract_y
_atom_site_fract_z
Mg1 0.0000 0.0000 0.0000
V1 0.5807 0.4269 0.1415
Fe1 0.9856 0.9593 0.6122
P1 0.0408 0.6107 0.9170
P2 0.1774 0.1712 0.3146
P3 0.4228 0.2132 0.8180
P4 0.5658 0.7739 0.4137
O1 0.0623 0.1787 0.4842
O2 0.2153 0.6644 0.0475
O3 0.2161 0.0916 0.8305
O4 0.2448 0.4523 0.7947
O5 0.3202 0.3297 0.2774
O6 0.3641 0.7751 0.5543
O7 0.4035 0.9464 0.2833
O8 0.5809 0.2010 0.9760
O9 0.6247 0.1647 0.6761
O10 0.6548 0.5788 0.3167
O11 0.8144 0.5262 0.9799
O12 0.8246 0.8270 0.4603
O13 0.9247 0.8128 0.8223
O14 0.9529 0.1764 0.1902
```

## Properties
ΔE to the lowest computed polymorph: 0.000 eV/atom
Formation energy: -2640 meV/atom
Energy with MP2020 corrections: -7.882 eV per atom
Energy: -151.952 eV for the cell shown


- What is the formula in the ninth record?
  Li2TiCr3O8